# 1
Entry from the Materials Project: crystalline Sr4Ir3O10 at its relaxed geometry (GGA-PBE).

a b c (Å): 14.663 14.663 14.663
angles (deg): 164.37 164.37 22.17
Sites, in units of the cell vectors:
1 Ir 0.857 0.857 0.000
2 Ir 0.000 0.000 0.000
3 Ir 0.143 0.143 0.000
4 O 0.363 0.863 0.500
5 O 0.070 0.070 0.000
6 O 0.000 0.500 0.500
7 O 0.213 0.213 0.000
8 O 0.500 0.000 0.500
9 O 0.930 0.930 0.000
10 O 0.637 0.137 0.500
11 O 0.137 0.637 0.500
12 O 0.787 0.787 0.000
13 O 0.863 0.363 0.500
14 Sr 0.431 0.431 0.000
15 Sr 0.569 0.569 0.000
16 Sr 0.702 0.702 0.000
17 Sr 0.298 0.298 0.000

Formation energy from the elements = -2.085 eV per atom


# 2
Entry from the Materials Project: crystalline Li5NbO5 at its relaxed geometry (GGA-PBE).

a b c (Å): 5.334 5.334 5.885
angles (deg): 72.58 72.58 44.80
Sites, in units of the cell vectors:
1 Li 0.287 0.287 0.344
2 Li 0.713 0.713 0.656
3 Li 0.308 0.308 0.860
4 Li 0.692 0.692 0.140
5 Li 0.000 0.000 0.500
6 O 0.158 0.158 0.683
7 O 0.855 0.855 0.825
8 O 0.145 0.145 0.175
9 O 0.500 0.500 0.000
10 O 0.842 0.842 0.317
11 Nb 0.000 0.000 0.000

Formation energy from the elements = -2.542 eV per atom


# 3
Entry from the Materials Project: crystalline Na7Ta2Ga2Si5PO24 at its relaxed geometry (GGA-PBE).

a b c (Å): 8.971 8.975 22.226
angles (deg): 89.68 90.11 119.86
Sites, in units of the cell vectors:
1 Ga 0.668 0.341 0.185
2 Ga 0.993 0.997 0.351
3 Ga 0.003 0.006 0.851
4 Ga 0.336 0.673 0.518
5 Ga 0.667 0.333 0.685
6 Ga 0.327 0.658 0.018
7 O 0.503 0.151 0.923
8 O 0.700 0.533 0.525
9 O 0.495 0.645 0.577
10 O 0.210 0.170 0.810
11 O 0.160 0.456 0.976
12 O 0.151 0.502 0.577
13 O 0.635 0.501 0.923
14 O 0.187 0.163 0.089
15 O 0.877 0.373 0.644
16 O 0.484 0.313 0.744
17 O 0.354 0.852 0.578
18 O 0.534 0.694 0.973
19 O 0.163 0.701 0.477
20 O 0.309 0.481 0.757
21 O 0.505 0.865 0.076
22 O 0.497 0.127 0.643
23 O 0.500 0.864 0.359
24 O 0.174 0.695 0.756
25 O 0.803 0.840 0.194
26 O 0.036 0.835 0.692
27 O 0.697 0.165 0.029
28 O 0.466 0.169 0.525
29 O 0.829 0.788 0.311
30 O 0.964 0.795 0.811
31 O 0.134 0.636 0.358
32 O 0.150 0.650 0.078
33 O 0.806 0.822 0.912
34 O 0.630 0.504 0.643
35 O 0.364 0.865 0.859
36 O 0.025 0.182 0.911
37 O 0.166 0.202 0.692
38 O 0.848 0.498 0.422
39 O 0.025 0.840 0.412
40 O 0.687 0.517 0.245
41 O 0.350 0.506 0.077
42 O 0.831 0.518 0.745
43 O 0.854 0.365 0.923
44 O 0.829 0.311 0.243
45 O 0.835 0.529 0.025
46 O 0.634 0.121 0.141
47 O 0.301 0.835 0.977
48 O 0.829 0.298 0.527
49 O 0.816 0.974 0.411
50 O 0.797 0.964 0.691
51 O 0.305 0.826 0.256
52 O 0.499 0.364 0.422
53 O 0.307 0.459 0.475
54 O 0.522 0.826 0.757
55 O 0.035 0.202 0.190
56 O 0.161 0.974 0.912
57 O 0.484 0.167 0.244
58 O 0.187 0.028 0.589
59 O 0.838 0.038 0.808
60 O 0.541 0.838 0.477
61 O 0.961 0.162 0.307
62 O 0.972 0.160 0.589
63 O 0.173 0.478 0.257
64 O 0.362 0.493 0.362
65 O 0.519 0.691 0.257
66 O 0.489 0.359 0.145
67 O 0.468 0.301 0.026
68 O 0.840 0.812 0.589
69 O 0.134 0.499 0.859
70 O 0.976 0.817 0.089
71 O 0.165 0.965 0.192
72 O 0.207 0.038 0.311
73 O 0.508 0.635 0.861
74 O 0.177 0.193 0.412
75 O 0.873 0.501 0.143
76 O 0.834 0.035 0.088
77 O 0.687 0.169 0.744
78 O 0.631 0.144 0.422
79 P 0.664 0.041 0.085
80 P 0.623 0.672 0.919
81 P 0.328 0.375 0.419
82 Si 0.379 0.043 0.585
83 Si 0.662 0.621 0.584
84 Si 0.956 0.623 0.085
85 Si 0.044 0.669 0.419
86 Si 0.292 0.005 0.252
87 Si 0.332 0.955 0.919
88 Si 0.961 0.338 0.586
89 Si 0.713 0.004 0.752
90 Si 0.630 0.958 0.418
91 Si 0.381 0.344 0.085
92 Si 0.995 0.708 0.753
93 Si 0.996 0.286 0.251
94 Si 0.040 0.368 0.918
95 Si 0.711 0.708 0.252
96 Si 0.294 0.289 0.752
97 Na 0.637 0.627 0.748
98 Na 0.301 0.962 0.080
99 Na 0.657 0.961 0.581
100 Na 0.640 0.010 0.249
101 Na 0.997 0.005 0.494
102 Na 0.667 0.325 0.829
103 Na 0.374 0.012 0.748
104 Na 0.322 0.292 0.915
105 Na 0.989 0.627 0.248
106 Na 0.989 0.361 0.748
107 Na 0.305 0.342 0.582
108 Na 0.989 0.997 0.995
109 Na 0.707 0.677 0.415
110 Na 0.339 0.664 0.160
111 Na 0.039 0.697 0.581
112 Na 0.973 0.677 0.915
113 Na 0.372 0.362 0.247
114 Na 0.675 0.333 0.329
115 Na 0.334 0.667 0.662
116 Na 0.323 0.028 0.415
117 Na 0.041 0.346 0.082
118 Ta 0.666 0.331 0.980
119 Ta 0.673 0.332 0.479
120 Ta 0.331 0.669 0.813
121 Ta 0.999 0.000 0.646
122 Ta 0.330 0.668 0.313
123 Ta 0.000 0.997 0.146

Formation energy from the elements = -2.827 eV per atom


# 4
Entry from the Materials Project: crystalline Sc4Si6Ir7 at its relaxed geometry (GGA-PBE).

a b c (Å): 6.991 6.991 6.991
angles (deg): 109.47 109.47 109.47
Sites, in units of the cell vectors:
1 Sc 0.000 0.500 0.000
2 Sc 0.500 0.000 0.000
3 Sc 0.500 0.500 0.500
4 Sc 0.000 0.000 0.500
5 Ir 0.250 0.750 0.500
6 Ir 0.500 0.750 0.250
7 Ir 0.000 0.000 0.000
8 Ir 0.250 0.500 0.750
9 Ir 0.500 0.250 0.750
10 Ir 0.750 0.250 0.500
11 Ir 0.750 0.500 0.250
12 Si 0.317 0.000 0.317
13 Si 0.683 0.683 0.000
14 Si 0.000 0.683 0.683
15 Si 0.317 0.317 0.000
16 Si 0.000 0.317 0.317
17 Si 0.683 0.000 0.683

Formation energy from the elements = -1.058 eV per atom


# 5
Entry from the Materials Project: crystalline LiSmAu2 at its relaxed geometry (GGA-PBE).

a b c (Å): 4.944 4.944 4.944
angles (deg): 60.00 60.00 60.00
Sites, in units of the cell vectors:
1 Au 0.750 0.750 0.750
2 Au 0.250 0.250 0.250
3 Sm 0.000 0.000 0.000
4 Li 0.500 0.500 0.500

Formation energy from the elements = -0.682 eV per atom


# 6
Entry from the Materials Project: crystalline MgAl2Si6O16 at its relaxed geometry (GGA-PBE).

a b c (Å): 5.084 8.929 8.650
angles (deg): 91.23 91.55 90.66
Sites, in units of the cell vectors:
1 Mg 0.139 0.114 0.471
2 O 0.174 0.766 0.722
3 O 0.676 0.699 0.784
4 O 0.169 0.997 0.246
5 O 0.833 0.982 0.743
6 O 0.325 0.715 0.204
7 O 0.483 0.245 0.488
8 O 0.491 0.740 0.495
9 O 0.947 0.235 0.309
10 O 0.126 0.223 0.676
11 O 0.826 0.784 0.279
12 O 0.619 0.284 0.791
13 O 0.994 0.831 0.997
14 O 0.346 0.497 0.649
15 O 0.989 0.167 0.002
16 O 0.418 0.246 0.170
17 O 0.651 0.508 0.321
18 Si 0.916 0.822 0.812
19 Si 0.078 0.827 0.177
20 Si 0.132 0.171 0.165
21 Si 0.573 0.680 0.323
22 Si 0.426 0.673 0.665
23 Si 0.406 0.319 0.659
24 Al 0.885 0.167 0.812
25 Al 0.628 0.316 0.316

Formation energy from the elements = -3.233 eV per atom


# 7
Entry from the Materials Project: crystalline MgSi2 at its relaxed geometry (GGA-PBE).

a b c (Å): 6.592 6.614 10.790
angles (deg): 91.37 96.16 89.95
Sites, in units of the cell vectors:
1 Si 0.454 0.176 0.323
2 Si 0.583 0.843 0.345
3 Si 0.936 0.025 0.869
4 Si 0.083 0.169 0.352
5 Si 0.553 0.340 0.140
6 Si 0.103 0.751 0.778
7 Si 0.691 0.267 0.791
8 Si 0.954 0.833 0.359
9 Si 0.922 0.330 0.169
10 Si 0.482 0.766 0.552
11 Si 0.424 0.685 0.143
12 Si 0.400 0.827 0.929
13 Si 0.448 0.195 0.934
14 Si 0.056 0.329 0.549
15 Si 0.045 0.671 0.160
16 Si 0.113 0.691 0.557
17 Mg 0.642 0.393 0.541
18 Mg 0.285 0.535 0.361
19 Mg 0.824 0.000 0.610
20 Mg 0.078 0.416 0.922
21 Mg 0.748 0.939 0.070
22 Mg 0.682 0.675 0.794
23 Mg 0.323 0.089 0.685
24 Mg 0.191 0.054 0.095

Formation energy from the elements = 0.177 eV per atom


# 8
Entry from the Materials Project: crystalline MgSb4O9 at its relaxed geometry (GGA-PBE).

a b c (Å): 9.302 9.302 5.098
angles (deg): 90.00 90.00 90.00
Sites, in units of the cell vectors:
1 Sb 0.081 0.774 0.358
2 Sb 0.419 0.726 0.642
3 Sb 0.726 0.581 0.358
4 Sb 0.274 0.419 0.358
5 Sb 0.774 0.919 0.642
6 Sb 0.581 0.274 0.642
7 Sb 0.919 0.226 0.358
8 Sb 0.226 0.081 0.642
9 O 0.892 0.693 0.521
10 O 0.442 0.787 0.995
11 O 0.713 0.942 0.995
12 O 0.058 0.713 0.005
13 O 0.693 0.108 0.479
14 O 0.942 0.287 0.005
15 O 0.193 0.608 0.521
16 O 0.787 0.558 0.005
17 O 0.108 0.307 0.521
18 O 0.558 0.213 0.995
19 O 0.287 0.058 0.995
20 O 0.213 0.442 0.005
21 O 0.807 0.392 0.521
22 O 0.500 0.500 0.500
23 O 0.608 0.807 0.479
24 O 0.307 0.892 0.479
25 O 0.392 0.193 0.479
26 O 0.000 0.000 0.500
27 Mg 0.500 0.000 0.092
28 Mg 0.000 0.500 0.908

Formation energy from the elements = -1.590 eV per atom


# 9
Entry from the Materials Project: crystalline Zr5P7Pd9 at its relaxed geometry (GGA-PBE).

a b c (Å): 13.691 13.691 3.862
angles (deg): 90.00 90.00 152.39
Sites, in units of the cell vectors:
1 Pd 0.774 0.497 0.000
2 Pd 0.124 0.124 0.500
3 Pd 0.204 0.811 0.000
4 Pd 0.135 0.453 0.500
5 Pd 0.687 0.804 0.500
6 Pd 0.811 0.204 0.000
7 Pd 0.453 0.135 0.500
8 Pd 0.497 0.774 0.000
9 Pd 0.804 0.687 0.500
10 P 0.879 0.879 0.000
11 P 0.311 0.448 0.500
12 P 0.741 0.029 0.500
13 P 0.178 0.606 0.000
14 P 0.448 0.311 0.500
15 P 0.606 0.178 0.000
16 P 0.029 0.741 0.500
17 Zr 0.907 0.450 0.500
18 Zr 0.450 0.907 0.500
19 Zr 0.005 0.182 0.000
20 Zr 0.182 0.005 0.000
21 Zr 0.478 0.478 0.000

Formation energy from the elements = -0.934 eV per atom


# 10
Entry from the Materials Project: crystalline Gd2Ti2O7 at its relaxed geometry (GGA-PBE).

a b c (Å): 7.253 7.253 7.253
angles (deg): 60.00 60.00 60.00
Sites, in units of the cell vectors:
1 O 0.797 0.203 0.203
2 O 0.047 0.453 0.047
3 O 0.797 0.797 0.203
4 O 0.203 0.797 0.797
5 O 0.047 0.453 0.453
6 O 0.047 0.047 0.453
7 O 0.797 0.203 0.797
8 O 0.750 0.750 0.750
9 O 0.500 0.500 0.500
10 O 0.203 0.203 0.797
11 O 0.453 0.047 0.047
12 O 0.453 0.047 0.453
13 O 0.453 0.453 0.047
14 O 0.203 0.797 0.203
15 Gd 0.625 0.625 0.625
16 Gd 0.625 0.125 0.625
17 Gd 0.125 0.625 0.625
18 Gd 0.625 0.625 0.125
19 Ti 0.125 0.125 0.625
20 Ti 0.125 0.625 0.125
21 Ti 0.125 0.125 0.125
22 Ti 0.625 0.125 0.125

Formation energy from the elements = -3.731 eV per atom


These records have calculated total energy values of -6.549 -6.265 -7.067 -8.102 -3.976 -7.626 -4.021 -5.624 -6.994 -10.437 eV/atom, in the order they appear.